First-principles (PBE with a Hubbard U) data for LiMg4AlMo6O24 after structural relaxation, as listed in the Materials Project.

Lattice parameters (Å, degrees): 6.9950 8.3803 9.8674 95.89 107.12 101.61
Closest atoms and distances in Å follow each position.
Positions (direct):
Li: 0.0000 0.0000 0.0000  5 O 1.99-2.21
Mg: 0.2809 0.8089 0.1853  6 O 2.07-2.17
Mg: 0.4988 0.4148 0.7961  6 O 2.01-2.25
Mg: 0.5764 0.8014 0.7843  6 O 2.03-2.13
Mg: 0.7862 0.4102 0.3716  6 O 2.03-2.26
Al: 0.0737 0.2262 0.5776  4 O 1.80-1.91
Mo: 0.0149 0.8166 0.6589  4 O 1.77-1.86
Mo: 0.0523 0.4069 0.9000  4 O 1.75-1.91
Mo: 0.3363 0.4997 0.4481  4 O 1.76-1.88
Mo: 0.5326 0.1198 0.5304  4 O 1.74-1.88
Mo: 0.5413 0.1020 0.0419  4 O 1.77-1.83
Mo: 0.7330 0.7153 0.1236  4 O 1.77-1.85
O: 0.0274 0.0078 0.5789  1 Al 1.80, 1 Mo 1.86
O: 0.0467 0.2412 0.9942  1 Mo 1.75
O: 0.0837 0.3614 0.4402  1 Al 1.86, 1 Mo 1.88
O: 0.1678 0.3644 0.7507  1 Al 1.82, 1 Mo 1.91
O: 0.1815 0.5925 0.0264  1 Mo 1.78
O: 0.2692 0.8031 0.7476  1 Mo 1.77
O: 0.2826 0.6601 0.3530  1 Mo 1.76
O: 0.2998 0.9826 0.0487  1 Mo 1.81
O: 0.3724 0.2407 0.6003  1 Mo 1.88, 1 Al 2.01
O: 0.3813 0.0120 0.3595  1 Mo 1.74
O: 0.4798 0.5857 0.6341  1 Mo 1.80
O: 0.4848 0.2506 0.9297  1 Mo 1.78
O: 0.4863 0.3936 0.3720  1 Mo 1.78
O: 0.5753 0.9690 0.6385  1 Mo 1.75
O: 0.5878 0.6324 0.9320  1 Mo 1.85, 1 Mg 2.02
O: 0.5880 0.8191 0.2083  1 Mo 1.79
O: 0.6801 0.9731 0.9665  1 Mo 1.83, 1 Mg 2.03
O: 0.6994 0.2063 0.2161  1 Mo 1.77
O: 0.7785 0.5480 0.2133  1 Mo 1.77
O: 0.7901 0.2308 0.5273  1 Mo 1.86, 1 Al 1.91
O: 0.7930 0.4106 0.8106  1 Mo 1.78
O: 0.8870 0.8298 0.7914  1 Mo 1.79
O: 0.8906 0.6336 0.5280  1 Mo 1.78
O: 0.9855 0.8422 0.1482  1 Mo 1.80

Summary:
Theoretical density ... 3.40 g/cm3
E_tot ... -6.847 eV/atom
SG ... No. 1


First-principles (PBE with a Hubbard U) data for Li2MnAlO4 after structural relaxation, as listed in the Materials Project.

Lattice parameters (Å, degrees): 5.3269 5.9088 11.1281 90.00 110.90 90.00
Closest atoms and distances in Å follow each position.
Positions (direct):
Li: 0.0683 0.1611 0.1945  5 O 2.00-2.20
Li: 0.0683 0.3389 0.6945  5 O 2.00-2.20
Li: 0.3048 0.1552 0.9295  5 O 2.01-2.11
Li: 0.3048 0.3448 0.4295  5 O 2.01-2.11
Li: 0.6952 0.6552 0.5705  5 O 2.01-2.11
Li: 0.6952 0.8448 0.0705  5 O 2.01-2.11
Li: 0.9317 0.6611 0.3055  5 O 2.00-2.20
Li: 0.9317 0.8389 0.8055  5 O 2.00-2.20
Mn: 0.4358 0.6861 0.8178  5 O 1.91-2.10
Mn: 0.4358 0.8139 0.3178  5 O 1.91-2.10
Mn: 0.5642 0.1861 0.6822  5 O 1.91-2.10
Mn: 0.5642 0.3139 0.1822  5 O 1.91-2.10
Al: 0.1895 0.6715 0.0590  5 O 1.79-1.98
Al: 0.1895 0.8285 0.5590  5 O 1.79-1.98
Al: 0.8105 0.1715 0.4410  5 O 1.79-1.98
Al: 0.8105 0.3285 0.9410  5 O 1.79-1.98
O: 0.0930 0.6884 0.6822  1 Al 1.82, 1 Mn 1.91
O: 0.0930 0.8116 0.1822  1 Al 1.82, 1 Mn 1.91
O: 0.1891 0.1420 0.5568  2 Al 1.85-1.98, 1 Mn 2.00
O: 0.1891 0.3580 0.0568  2 Al 1.85-1.98, 1 Mn 2.00
O: 0.2942 0.6845 0.4434  1 Al 1.79, 1 Mn 1.96, 1 Li 2.00
O: 0.2942 0.8155 0.9434  1 Al 1.79, 1 Mn 1.96, 1 Li 2.00
O: 0.4514 0.1690 0.3142  1 Al 1.93, 2 Mn 1.97-2.10, 2 Li 2.00-2.01
O: 0.4514 0.3310 0.8142  1 Al 1.93, 2 Mn 1.97-2.10, 2 Li 2.00-2.01
O: 0.5486 0.6690 0.1858  1 Al 1.93, 2 Mn 1.97-2.10, 2 Li 2.00-2.01
O: 0.5486 0.8310 0.6858  1 Al 1.93, 2 Mn 1.97-2.10, 2 Li 2.00-2.01
O: 0.7058 0.1845 0.0566  1 Al 1.79, 1 Mn 1.96, 1 Li 2.00
O: 0.7058 0.3155 0.5566  1 Al 1.79, 1 Mn 1.96, 1 Li 2.00
O: 0.8109 0.6420 0.9432  2 Al 1.85-1.98, 1 Mn 2.00
O: 0.8109 0.8580 0.4432  2 Al 1.85-1.98, 1 Mn 2.00
O: 0.9070 0.1884 0.8178  1 Al 1.82, 1 Mn 1.91
O: 0.9070 0.3116 0.3178  1 Al 1.82, 1 Mn 1.91

Summary:
Theoretical density ... 3.24 g/cm3
E_tot ... -6.584 eV/atom
SG ... No. 14


First-principles (PBE with a Hubbard U) data for Li3MnAl2O6 after structural relaxation, as listed in the Materials Project.

Lattice parameters (Å, degrees): 5.9234 10.3314 9.9138 90.00 126.35 90.00
Closest atoms and distances in Å follow each position.
Positions (direct):
Li: 0.1886 0.1517 0.3748  5 O 1.93-2.12
Li: 0.1886 0.3483 0.8748  5 O 1.93-2.12
Li: 0.2139 0.0016 0.8653  5 O 1.96-2.16
Li: 0.2139 0.4984 0.3653  5 O 1.96-2.16
Li: 0.2613 0.0041 0.6175  4 O 1.95-2.16
Li: 0.2613 0.4959 0.1175  4 O 1.95-2.16
Li: 0.7387 0.5041 0.8825  4 O 1.95-2.16
Li: 0.7387 0.9959 0.3825  4 O 1.95-2.16
Li: 0.7861 0.5016 0.6347  5 O 1.96-2.16
Li: 0.7861 0.9984 0.1347  5 O 1.96-2.16
Li: 0.8114 0.6517 0.1252  5 O 1.93-2.12
Li: 0.8114 0.8483 0.6252  5 O 1.93-2.12
Mn: 0.2899 0.1656 0.1266  5 O 1.93-2.07
Mn: 0.2899 0.3344 0.6266  5 O 1.93-2.07
Mn: 0.7101 0.6656 0.3734  5 O 1.93-2.07
Mn: 0.7101 0.8344 0.8734  5 O 1.93-2.07
Al: 0.2167 0.6653 0.8838  3 O 1.73-1.82
Al: 0.2167 0.8347 0.3838  3 O 1.73-1.82
Al: 0.2981 0.6581 0.6258  5 O 1.78-1.93
Al: 0.2981 0.8419 0.1258  5 O 1.78-1.93
Al: 0.7019 0.1581 0.8742  5 O 1.78-1.93
Al: 0.7019 0.3419 0.3742  5 O 1.78-1.93
Al: 0.7833 0.1653 0.6162  3 O 1.73-1.82
Al: 0.7833 0.3347 0.1162  3 O 1.73-1.82
O: 0.0223 0.1708 0.8856  1 Al 1.84, 1 Mn 1.93
O: 0.0223 0.3292 0.3856  1 Al 1.84, 1 Mn 1.93
O: 0.0636 0.5207 0.8773  1 Al 1.73, 1 Li 1.93
O: 0.0636 0.9793 0.3773  1 Al 1.73, 1 Li 1.93
O: 0.0705 0.6807 0.3860  2 Al 1.82-1.93
O: 0.0705 0.8193 0.8860  2 Al 1.82-1.93
O: 0.4361 0.5040 0.6277  1 Al 1.78, 1 Mn 1.95
O: 0.4361 0.9960 0.1277  1 Al 1.78, 1 Mn 1.95
O: 0.4700 0.6904 0.1314  2 Al 1.85-1.99, 1 Mn 1.95
O: 0.4700 0.8096 0.6314  2 Al 1.85-1.99, 1 Mn 1.95
O: 0.4988 0.1712 0.6369  2 Al 1.82-1.91
O: 0.4988 0.3288 0.1369  2 Al 1.82-1.91
O: 0.5012 0.6712 0.8631  2 Al 1.82-1.91
O: 0.5012 0.8288 0.3631  2 Al 1.82-1.91
O: 0.5300 0.1904 0.3686  2 Al 1.85-1.99, 1 Mn 1.95
O: 0.5300 0.3096 0.8686  2 Al 1.85-1.99, 1 Mn 1.95
O: 0.5639 0.0040 0.8723  1 Al 1.78, 1 Mn 1.95
O: 0.5639 0.4960 0.3723  1 Al 1.78, 1 Mn 1.95
O: 0.9295 0.1807 0.1140  2 Al 1.82-1.93
O: 0.9295 0.3193 0.6140  2 Al 1.82-1.93
O: 0.9364 0.0207 0.6227  1 Al 1.73, 1 Li 1.93
O: 0.9364 0.4793 0.1227  1 Al 1.73, 1 Li 1.93
O: 0.9777 0.6708 0.6144  1 Al 1.84, 1 Mn 1.93
O: 0.9777 0.8292 0.1144  1 Al 1.84, 1 Mn 1.93

Summary:
Theoretical density ... 3.07 g/cm3
E_tot ... -6.557 eV/atom
ΔE to the lowest computed polymorph ... 0.030 eV/atom
SG ... No. 14


First-principles (PBE with a Hubbard U) data for Li2MnAl2O6 after structural relaxation, as listed in the Materials Project.

Lattice parameters (Å, degrees): 4.9194 4.9194 10.1531 90.00 90.00 60.65
Closest atoms and distances in Å follow each position.
Positions (direct):
Li: 0.1516 0.3484 0.2500  4 O 2.03-2.09
Li: 0.3484 0.1516 0.7500  4 O 2.03-2.09
Li: 0.6516 0.8484 0.2500  4 O 2.03-2.09
Li: 0.8484 0.6516 0.7500  4 O 2.03-2.09
Mn: 0.0000 0.0000 0.0000  6 O 1.91-1.97
Mn: 0.5000 0.5000 0.5000  6 O 1.91-1.97
Al: 0.1634 0.1634 0.5000  6 O 1.89-1.97
Al: 0.3366 0.3366 0.0000  6 O 1.89-1.97
Al: 0.6634 0.6634 0.0000  6 O 1.89-1.97
Al: 0.8366 0.8366 0.5000  6 O 1.89-1.97
O: 0.0102 0.3350 0.8983  2 Al 1.91-1.97, 1 Mn 1.97, 2 Li 2.03-2.09
O: 0.1650 0.4898 0.6017  2 Al 1.91-1.97, 1 Mn 1.97, 2 Li 2.03-2.09
O: 0.1678 0.8322 0.4045  2 Al 1.89, 1 Mn 1.91
O: 0.3322 0.6678 0.9045  2 Al 1.89, 1 Mn 1.91
O: 0.3350 0.0102 0.1017  2 Al 1.91-1.97, 1 Mn 1.97, 2 Li 2.03-2.09
O: 0.4898 0.1650 0.3983  2 Al 1.91-1.97, 1 Mn 1.97, 2 Li 2.03-2.09
O: 0.5102 0.8350 0.6017  2 Al 1.91-1.97, 1 Mn 1.97, 2 Li 2.03-2.09
O: 0.6650 0.9898 0.8983  2 Al 1.91-1.97, 1 Mn 1.97, 2 Li 2.03-2.09
O: 0.6678 0.3322 0.0955  2 Al 1.89, 1 Mn 1.91
O: 0.8322 0.1678 0.5955  2 Al 1.89, 1 Mn 1.91
O: 0.8350 0.5102 0.3983  2 Al 1.91-1.97, 1 Mn 1.97, 2 Li 2.03-2.09
O: 0.9898 0.6650 0.1017  2 Al 1.91-1.97, 1 Mn 1.97, 2 Li 2.03-2.09

Summary:
Theoretical density ... 3.39 g/cm3
E_tot ... -6.713 eV/atom
SG ... No. 64